Below is a relaxed structure of SrNdCoO4, with properties calculated at the GGA+U level.

Properties
* excess energy over the best structure of this formula in the dataset: 0.0209 eV per atom

Lattice parameters (Å, degrees): 6.815 6.815 5.416 90.00 90.00 133.30
Fractional positions:
Sr: 0.606 0.394 0.250
Sr: 0.394 0.606 0.750
Nd: 0.113 0.887 0.750
Nd: 0.887 0.113 0.250
Co: 0.251 0.749 0.250
Co: 0.749 0.251 0.750
O: 0.926 0.074 0.750
O: 0.412 0.588 0.250
O: 0.074 0.926 0.250
O: 0.588 0.412 0.750
O: 0.000 0.500 0.500
O: 0.500 0.000 0.000
O: 0.000 0.500 0.000
O: 0.500 0.000 0.500

***

Below is a relaxed structure of SrNdCo4O12, with properties calculated at the GGA+U level.

Lattice parameters (Å, degrees): 5.340 5.340 7.556 90.00 90.00 90.00
Fractional positions:
Sr: 0.000 0.000 0.500
Nd: 0.500 0.500 0.000
Co: 0.000 0.500 0.747
Co: 0.000 0.500 0.253
Co: 0.500 0.000 0.253
Co: 0.500 0.000 0.747
O: 0.257 0.257 0.241
O: 0.257 0.257 0.759
O: 0.743 0.743 0.241
O: 0.743 0.743 0.759
O: 0.743 0.257 0.759
O: 0.743 0.257 0.241
O: 0.257 0.743 0.759
O: 0.257 0.743 0.241
O: 0.000 0.500 0.500
O: 0.000 0.500 0.000
O: 0.500 0.000 0.500
O: 0.500 0.000 0.000

***

Below is a relaxed structure of Co2NiO4, with properties calculated at the GGA+U level.

Properties
* excess energy over the best structure of this formula in the dataset: 0.1309 eV per atom

Lattice parameters (Å, degrees): 5.808 5.808 5.808 58.98 58.98 58.98
Fractional positions:
Co: 0.000 0.000 0.000
Co: 0.000 0.500 0.000
Co: 0.500 0.000 0.000
Co: 0.000 0.000 0.500
Ni: 0.625 0.625 0.625
Ni: 0.375 0.375 0.375
O: 0.233 0.233 0.233
O: 0.235 0.792 0.235
O: 0.792 0.235 0.235
O: 0.235 0.235 0.792
O: 0.767 0.767 0.767
O: 0.765 0.208 0.765
O: 0.208 0.765 0.765
O: 0.765 0.765 0.208

***

Number 1: final energy -6.828 eV/atom, DFT formation energy -2689 meV/atom. Number 2: final energy -5.823 eV/atom, DFT formation energy -1408 meV/atom. Number 3: final energy -5.507 eV/atom, DFT formation energy -1047 meV/atom.